Below is a relaxed Rb2NaFeF6 crystal, with properties calculated at the PBE+U level.

Calculated values
Energy with MP2020 corrections (eV per cell): -210.9
VASP energy (eV for the cell shown): -190.82
Total magnetic moment (μB per atom): 0.5000
Formation enthalpy at 0 K (eV/f.u.): -29.49

Structure (CIF):
```
data_Rb2NaFeF6
_space_group_name_H-M_alt 'F m -3 m'
_space_group_IT_number 225
_space_group_name_Hall '-F 4 2 3'
_cell_length_a 8.6153
_cell_length_b 8.6153
_cell_length_c 8.6153
_cell_angle_alpha 90.00
_cell_angle_beta 90.00
_cell_angle_gamma 90.00
loop_
_atom_site_label
_atom_site_type_symbol
_atom_site_fract_x
_atom_site_fract_y
_atom_site_fract_z
_atom_site_occupancy
Rb1 Rb 0.2500 0.2500 0.2500 1
Na1 Na 0.0000 0.0000 0.0000 1
Fe1 Fe 0.0000 0.0000 0.5000 1
F1 F 0.0000 0.0000 0.2713 1
```